(1)
# Nb4GeSe8, optimized geometry, DFT r2SCAN
data_Nb4GeSe8
_cell_length_a 27.828
_cell_length_b 3.518
_cell_length_c 6.073
_cell_angle_alpha 90.00
_cell_angle_beta 102.50
_cell_angle_gamma 90.00
_space_group_name_H-M_alt 'C 1 2/m 1'
_space_group_IT_number 12
loop_
_space_group_symop_operation_xyz
'x,y,z'
'-x,-y,-z'
'-x,y,-z'
'x,-y,z'
'x+1/2,y+1/2,z'
'-x+1/2,-y+1/2,-z'
'-x+1/2,y+1/2,-z'
'x+1/2,-y+1/2,z'
loop_
_atom_site_label
_atom_site_type_symbol
_atom_site_fract_x
_atom_site_fract_y
_atom_site_fract_z
Nb1 Nb 0.131 0.000 0.121
Nb2 Nb 0.132 0.500 0.644
Ge1 Ge 0.000 0.500 0.500
Se1 Se 0.068 0.500 0.906
Se2 Se 0.070 0.000 0.402
Se3 Se 0.191 0.000 0.522
Se4 Se 0.193 0.500 0.028
# crystal system	monoclinic

***

(2)
# Nb3GeTe6, optimized geometry, DFT r2SCAN
data_Nb3GeTe6
_cell_length_a 6.524
_cell_length_b 14.604
_cell_length_c 11.714
_cell_angle_alpha 90.00
_cell_angle_beta 90.00
_cell_angle_gamma 90.00
_space_group_name_H-M_alt 'P n m a'
_space_group_IT_number 62
loop_
_space_group_symop_operation_xyz
'x,y,z'
'-x,-y,-z'
'-x+1/2,-y,z+1/2'
'x+1/2,y,-z+1/2'
'x+1/2,-y+1/2,-z+1/2'
'-x+1/2,y+1/2,z+1/2'
'-x,y+1/2,-z'
'x,-y+1/2,z'
loop_
_atom_site_label
_atom_site_type_symbol
_atom_site_fract_x
_atom_site_fract_y
_atom_site_fract_z
Nb1 Nb 0.034 0.250 0.186
Nb2 Nb 0.173 0.750 0.335
Nb3 Nb 0.197 0.750 0.030
Ge1 Ge 0.075 0.750 0.576
Te1 Te 0.136 0.125 0.995
Te2 Te 0.148 0.122 0.682
Te3 Te 0.213 0.121 0.341
# crystal system	orthorhombic

***

(3)
# U2Nb3Ge4, optimized geometry, DFT r2SCAN
data_U2Nb3Ge4
_cell_length_a 7.022
_cell_length_b 13.604
_cell_length_c 7.234
_cell_angle_alpha 90.00
_cell_angle_beta 90.00
_cell_angle_gamma 90.00
_space_group_name_H-M_alt 'P n m a'
_space_group_IT_number 62
loop_
_space_group_symop_operation_xyz
'x,y,z'
'-x,-y,-z'
'-x+1/2,-y,z+1/2'
'x+1/2,y,-z+1/2'
'x+1/2,-y+1/2,-z+1/2'
'-x+1/2,y+1/2,z+1/2'
'-x,y+1/2,-z'
'x,-y+1/2,z'
loop_
_atom_site_label
_atom_site_type_symbol
_atom_site_fract_x
_atom_site_fract_y
_atom_site_fract_z
U1 U 0.004 0.092 0.168
Nb1 Nb 0.161 0.625 0.328
Nb2 Nb 0.167 0.250 0.506
Ge1 Ge 0.041 0.250 0.872
Ge2 Ge 0.170 0.044 0.540
Ge3 Ge 0.194 0.750 0.633
# crystal system	orthorhombic

***

(4)
# Y2Nb3Ge4, optimized geometry, DFT r2SCAN
data_Y2Nb3Ge4
_cell_length_a 7.003
_cell_length_b 13.566
_cell_length_c 7.192
_cell_angle_alpha 90.00
_cell_angle_beta 90.00
_cell_angle_gamma 90.00
_space_group_name_H-M_alt 'P n m a'
_space_group_IT_number 62
loop_
_space_group_symop_operation_xyz
'x,y,z'
'-x,-y,-z'
'-x+1/2,-y,z+1/2'
'x+1/2,y,-z+1/2'
'x+1/2,-y+1/2,-z+1/2'
'-x+1/2,y+1/2,z+1/2'
'-x,y+1/2,-z'
'x,-y+1/2,z'
loop_
_atom_site_label
_atom_site_type_symbol
_atom_site_fract_x
_atom_site_fract_y
_atom_site_fract_z
Y1 Y 0.003 0.095 0.174
Nb1 Nb 0.160 0.627 0.328
Nb2 Nb 0.164 0.250 0.513
Ge1 Ge 0.040 0.250 0.879
Ge2 Ge 0.174 0.042 0.539
Ge3 Ge 0.195 0.750 0.636
# crystal system	orthorhombic

***

no.,energy of formation from the pure elements (eV/atom),total energy (eV/atom)
1,-0.8639,-18.35
2,-0.5398,-24.60
3,-0.5861,-32.76
4,-0.8186,-19.74